1.
Ag2F5 | PBE | relaxed

Output
uncorrected energy = -22.66 eV per formula unit
SG = P-1

```
28
Lattice="5.1967 0.0000 0.0000 2.2399 7.2509 0.0000 0.1574 0.3651 11.4394" Properties=species:S:1:pos:R:3 pbc="T T T"
Ag 0.0000 0.0000 0.0000
Ag 0.0787 0.1825 5.7197
Ag 1.1200 3.6254 0.0000
Ag 1.1987 3.8080 5.7197
Ag 2.8783 1.6458 2.6813
Ag 4.0322 5.3260 2.8213
Ag 3.5618 2.2900 8.6181
Ag 4.7158 5.9701 8.7582
F 2.1190 6.3960 9.9247
F 1.9935 5.5259 6.5472
F 2.7430 6.4924 3.9571
F 2.6395 5.6246 1.0925
F 2.2681 3.4891 9.7134
F 2.3795 2.6781 6.8755
F 2.8671 3.4129 3.5903
F 2.7435 2.6105 0.9296
F 2.4933 0.4792 9.6835
F 4.5087 6.9138 7.0636
F 3.0853 0.7021 4.3759
F 5.1007 7.1368 1.7559
F 4.8505 5.0054 10.5099
F 4.7269 4.2030 7.8491
F 5.2145 4.9379 4.5639
F 5.3260 4.1268 1.7260
F 4.9545 1.9913 10.3470
F 4.8510 1.1235 7.4823
F 5.6005 2.0901 4.8922
F 5.4750 1.2200 1.5148
```


2.
AgF2 | PBE | relaxed

Output
uncorrected energy = -10.05 eV per formula unit
SG = P2_1/c

```
6
Lattice="3.7114 0.0000 0.0000 0.0000 5.1280 0.0000 -3.2368 0.0000 5.0284" Properties=species:S:1:pos:R:3 pbc="T T T"
Ag 0.0000 0.0000 0.0000
Ag -1.6184 2.5640 2.5142
F -1.6967 1.0571 4.0016
F -0.0784 1.5069 1.4874
F 0.5530 3.6212 3.5410
F 2.1713 4.0709 1.0268
```


Number 1: energy of formation -9.7 eV per formula unit. Number 2: energy of formation -4.3 eV per formula unit.